[1]
Computed, not measured: a relaxed structure of Dy2MgMn4O8 at the GGA+U level of DFT.

abc: 6.2537 6.2558 7.0959
angles: 64.16 64.19 89.92
Space group P1 (No. 1)
Asymmetric unit:
1 Dy 0.0000 0.0000 0.0000
2 Dy 0.2257 0.7732 0.4997
3 Mg 0.7612 0.2397 0.4997
4 Mn 0.1608 0.4443 0.1242
5 Mn 0.5563 0.8382 0.8739
6 Mn 0.5821 0.3722 0.8196
7 Mn 0.6254 0.4168 0.1818
8 O 0.3503 0.6338 0.2411
9 O 0.3624 0.1672 0.2148
10 O 0.3660 0.6486 0.7575
11 O 0.4027 0.1420 0.7465
12 O 0.8319 0.6358 0.7853
13 O 0.8390 0.1339 0.7651
14 O 0.8574 0.5975 0.2525
15 O 0.8650 0.1608 0.2352

Values from the calculation:
- Magnetization: 20.000 μB/f.u.
- Formation energy from the elements: -2.424 eV per atom

***

[2]
Computed, not measured: a relaxed structure of K2MnV14O40 at the GGA+U level of DFT.

abc: 11.5601 11.5601 20.1028
angles: 90.00 90.00 90.00
Space group I4/mmm (No. 139)
Asymmetric unit:
1 K 0.0000 0.5000 0.0000
2 Mn 0.0000 0.0000 0.0000
3 V 0.0000 0.0000 0.2171
4 V 0.0000 0.1991 0.1077
5 V 0.2014 0.2014 0.0000
6 O 0.0000 0.0000 0.0932
7 O 0.0000 0.0000 0.2970
8 O 0.0000 0.1608 0.1920
9 O 0.0000 0.1689 0.0000
10 O 0.0000 0.3398 0.1037
11 O 0.1540 0.3102 0.5000
12 O 0.1631 0.1631 0.0908

Values from the calculation:
- Magnetization: 7.026 μB/f.u.
- Formation energy from the elements: -2.096 eV per atom

***

[3]
Computed, not measured: a relaxed structure of LiNi2P5O15 at the GGA+U level of DFT.

abc: 5.1368 13.0236 8.5348
angles: 90.00 102.06 90.00
Space group P2_1/m (No. 11)
Asymmetric unit:
1 Li 0.0000 0.0000 0.0000
2 Ni 0.3657 0.0865 0.3507
3 P 0.0580 0.7500 0.5274
4 P 0.1567 0.0701 0.6875
5 P 0.4745 0.6378 0.9943
6 O 0.0140 0.0125 0.2634
7 O 0.0420 0.6538 0.4070
8 O 0.1810 0.2500 0.3942
9 O 0.2005 0.6276 0.0197
10 O 0.3109 0.1315 0.8353
11 O 0.3362 0.7500 0.6242
12 O 0.3504 0.0379 0.5823
13 O 0.4214 0.0711 0.1254
14 O 0.4510 0.2500 0.0532

Values from the calculation:
- Magnetization: 4.000 μB/f.u.
- Formation energy from the elements: -2.365 eV per atom

***

[4]
Computed, not measured: a relaxed structure of Li2VC2O6 at the GGA+U level of DFT.

abc: 5.3159 6.4837 8.7110
angles: 83.03 72.52 65.84
Space group P1 (No. 1)
Asymmetric unit:
1 Li 0.0000 0.0000 0.0000
2 Li 0.0804 0.4964 0.8375
3 Li 0.2821 0.0964 0.3334
4 Li 0.6989 0.6021 0.4972
5 V 0.3504 0.5499 0.1678
6 V 0.5987 0.0487 0.6676
7 C 0.3209 0.4468 0.4700
8 C 0.4780 0.1502 0.9691
9 C 0.5241 0.6509 0.8657
10 C 0.8805 0.9485 0.3662
11 O 0.0402 0.8996 0.2199
12 O 0.1199 0.4475 0.4119
13 O 0.2655 0.6518 0.9215
14 O 0.2713 0.1524 0.9158
15 O 0.3263 0.3927 0.6168
16 O 0.4402 0.2008 0.1156
17 O 0.5221 0.4995 0.3699
18 O 0.6244 0.9444 0.4177
19 O 0.6253 0.7026 0.7189
20 O 0.6755 0.5990 0.9678
21 O 0.7286 0.0974 0.8657
22 O 0.9736 0.0015 0.4710

Values from the calculation:
- Magnetization: 3.000 μB/f.u.
- Formation energy from the elements: -2.098 eV per atom

***

[5]
Computed, not measured: a relaxed structure of Li9Mn2Co5O16 at the GGA+U level of DFT.

abc: 4.9771 7.7750 7.7999
angles: 98.26 101.30 102.33
Space group P1 (No. 1)
Asymmetric unit:
1 Li 0.0000 0.0000 0.0000
2 Li 0.9998 0.1283 0.3720
3 Li 0.0010 0.3579 0.1190
4 Li 0.4863 0.2479 0.2445
5 Li 0.4954 0.0048 0.5079
6 Li 0.5000 0.4898 0.9963
7 Li 0.5107 0.7534 0.7554
8 Li 0.9961 0.8804 0.6388
9 Li 0.9987 0.6249 0.8756
10 Mn 0.4964 0.8757 0.1235
11 Mn 0.9931 0.7489 0.2500
12 Co 0.4901 0.6245 0.3740
13 Co 0.4993 0.1197 0.8819
14 Co 0.5001 0.3767 0.6238
15 Co 0.9969 0.4966 0.4993
16 Co 0.9975 0.2456 0.7566
17 O 0.2312 0.7384 0.4801
18 O 0.2447 0.9733 0.2476
19 O 0.2492 0.1420 0.6313
20 O 0.2501 0.3926 0.3746
21 O 0.2540 0.6408 0.1441
22 O 0.2551 0.4881 0.7339
23 O 0.2622 0.2412 0.9889
24 O 0.2725 0.8695 0.8952
25 O 0.7240 0.1041 0.1288
26 O 0.7254 0.6147 0.6029
27 O 0.7347 0.8559 0.3591
28 O 0.7378 0.0100 0.7558
29 O 0.7450 0.2646 0.5101
30 O 0.7474 0.5207 0.2622
31 O 0.7488 0.7514 0.0267
32 O 0.7643 0.3681 0.8708

Values from the calculation:
- Magnetization: 8.000 μB/f.u.
- Formation energy from the elements: -1.848 eV per atom

***

[6]
Computed, not measured: a relaxed structure of Li7Cr3Si2O12 at the GGA+U level of DFT.

abc: 19.4359 8.5605 4.9426
angles: 90.00 94.87 90.00
Space group C2 (No. 5)
Asymmetric unit:
1 Li 0.1278 0.0000 0.3731
2 Li 0.1279 0.1639 0.8816
3 Li 0.1278 0.3276 0.3731
4 Li 0.1278 0.5001 0.8732
5 Li 0.1278 0.6639 0.3817
6 Li 0.1278 0.8278 0.8731
7 Li 0.2500 0.1639 0.2500
8 Cr 0.0000 0.9996 0.0000
9 Cr 0.0000 0.1614 0.5000
10 Cr 0.0000 0.3312 0.0000
11 Cr 0.0000 0.4946 0.5000
12 Cr 0.0000 0.6663 0.0000
13 Cr 0.0000 0.8302 0.5000
14 Si 0.2500 0.3306 0.7500
15 Si 0.2500 0.4972 0.2500
16 O 0.0588 0.3287 0.6868
17 O 0.0586 0.4979 0.1845
18 O 0.0588 0.8325 0.1867
19 O 0.0590 0.9959 0.6876
20 O 0.0601 0.1651 0.1881
21 O 0.0597 0.6632 0.6849
22 O 0.1985 0.1639 0.6067
23 O 0.1985 0.3509 0.0458
24 O 0.1984 0.4769 0.5458
25 O 0.1984 0.6639 0.1067
26 O 0.1985 0.8508 0.5458
27 O 0.1985 0.9770 0.0459

Values from the calculation:
- Magnetization: 0.000 μB/f.u.
- Formation energy from the elements: -2.576 eV per atom

***

Q: What is the magnetization in the second record?
A: 7.026 μB/f.u.

***

Q: formation energy from the elements of number 1 (Dy2MgMn4O8)?
A: -2.424 eV per atom